(1)
Below is a relaxed MgH18C4SN8O9 crystal, with properties calculated at the r²SCAN level.

Lattice parameters (Å, degrees): 14.4529 9.2031 14.0747 52.34 90.00 90.00
Last column: nearest neighbours and their distance in Å.
Atoms (fractional coordinates):
1 Mg 0.8251 0.7116 0.1609  6 O 2.05-2.11
2 Mg 0.6749 0.7116 0.6609  6 O 2.05-2.11
3 Mg 0.1749 0.2884 0.8391  6 O 2.05-2.11
4 Mg 0.3251 0.2884 0.3391  6 O 2.05-2.11
5 H 0.9998 0.8142 0.1161  1 O 0.98
6 H 0.5002 0.8142 0.6161  1 O 0.98
7 H 0.0002 0.1858 0.8839  1 O 0.98
8 H 0.4998 0.1858 0.3839  1 O 0.98
9 H 0.9831 0.7764 0.0217  1 O 0.98
10 H 0.5169 0.7764 0.5217  1 O 0.98
11 H 0.0169 0.2236 0.9783  1 O 0.98
12 H 0.4831 0.2236 0.4783  1 O 0.98
13 H 0.6713 0.7003 0.8970  1 N 1.01
14 H 0.8287 0.7003 0.3970  1 N 1.01
15 H 0.3287 0.2997 0.1030  1 N 1.01
16 H 0.1713 0.2997 0.6030  1 N 1.01
17 H 0.7010 0.7826 0.9748  1 N 1.02
18 H 0.7990 0.7826 0.4748  1 N 1.02
19 H 0.2990 0.2174 0.0252  1 N 1.02
20 H 0.2010 0.2174 0.5252  1 N 1.02
21 H 0.7364 0.4321 0.9524  1 N 1.02
22 H 0.7636 0.4321 0.4524  1 N 1.02
23 H 0.2636 0.5679 0.0476  1 N 1.02
24 H 0.2364 0.5679 0.5476  1 N 1.02
25 H 0.8270 0.3335 0.0576  1 N 1.01
26 H 0.6730 0.3335 0.5576  1 N 1.01
27 H 0.1730 0.6665 0.9424  1 N 1.01
28 H 0.3270 0.6665 0.4424  1 N 1.01
29 H 0.0734 0.4351 0.4265  1 N 1.02
30 H 0.4266 0.4351 0.9265  1 N 1.02
31 H 0.9266 0.5649 0.5735  1 N 1.02
32 H 0.5734 0.5649 0.0735  1 N 1.02
33 H 0.0196 0.6400 0.3122  1 N 1.01
34 H 0.4804 0.6400 0.8122  1 N 1.01
35 H 0.9804 0.3600 0.6878  1 N 1.01
36 H 0.5196 0.3600 0.1878  1 N 1.01
37 H 0.9830 0.1693 0.5541  1 N 1.02
38 H 0.5170 0.1693 0.0541  1 N 1.02
39 H 0.0170 0.8307 0.4459  1 N 1.02
40 H 0.4830 0.8307 0.9459  1 N 1.02
41 H 0.8725 0.1681 0.5073  1 N 1.01
42 H 0.6275 0.1681 0.0073  1 N 1.01
43 H 0.1275 0.8319 0.4927  1 N 1.01
44 H 0.3725 0.8319 0.9927  1 N 1.01
45 H 0.8118 0.3586 0.8448  1 N 1.02
46 H 0.6882 0.3586 0.3448  1 N 1.02
47 H 0.1882 0.6414 0.1552  1 N 1.02
48 H 0.3118 0.6414 0.6552  1 N 1.02
49 H 0.8582 0.1788 0.9830  1 N 1.01
50 H 0.6418 0.1788 0.4830  1 N 1.01
51 H 0.1418 0.8212 0.0170  1 N 1.01
52 H 0.3582 0.8212 0.5170  1 N 1.01
53 H 0.6987 0.3013 0.7574  1 N 1.02
54 H 0.8013 0.3013 0.2574  1 N 1.02
55 H 0.3013 0.6987 0.2426  1 N 1.02
56 H 0.1987 0.6987 0.7426  1 N 1.02
57 H 0.6574 0.0803 0.8282  1 N 1.02
58 H 0.8426 0.0803 0.3282  1 N 1.02
59 H 0.3426 0.9197 0.1718  1 N 1.02
60 H 0.1574 0.9197 0.6718  1 N 1.02
61 H 0.6132 0.9389 0.2661  1 N 1.01
62 H 0.8868 0.9389 0.7661  1 N 1.01
63 H 0.3868 0.0611 0.7339  1 N 1.01
64 H 0.1132 0.0611 0.2339  1 N 1.01
65 H 0.7231 0.9200 0.2245  1 N 1.01
66 H 0.7769 0.9200 0.7245  1 N 1.01
67 H 0.2769 0.0800 0.7755  1 N 1.01
68 H 0.2231 0.0800 0.2755  1 N 1.01
69 H 0.5051 0.7034 0.3256  1 N 1.01
70 H 0.9949 0.7034 0.8256  1 N 1.01
71 H 0.4949 0.2966 0.6744  1 N 1.01
72 H 0.0051 0.2966 0.1744  1 N 1.01
73 H 0.5329 0.5356 0.3092  1 N 1.01
74 H 0.9671 0.5356 0.8092  1 N 1.01
75 H 0.4671 0.4644 0.6908  1 N 1.01
76 H 0.0329 0.4644 0.1908  1 N 1.01
77 C 0.7606 0.5451 0.0374  1 O 1.27, 2 N 1.33-1.36
78 C 0.7394 0.5451 0.5374  1 O 1.27, 2 N 1.33-1.36
79 C 0.2394 0.4549 0.9626  1 O 1.27, 2 N 1.33-1.36
80 C 0.2606 0.4549 0.4626  1 O 1.27, 2 N 1.33-1.36
81 C 0.9365 0.4132 0.3967  1 O 1.27, 2 N 1.34
82 C 0.5635 0.4132 0.8967  1 O 1.27, 2 N 1.34
83 C 0.0635 0.5868 0.6033  1 O 1.27, 2 N 1.34
84 C 0.4365 0.5868 0.1033  1 O 1.27, 2 N 1.34
85 C 0.7646 0.0995 0.9141  1 O 1.27, 2 N 1.34-1.35
86 C 0.7354 0.0995 0.4141  1 O 1.27, 2 N 1.34-1.35
87 C 0.2354 0.9005 0.0859  1 O 1.27, 2 N 1.34-1.35
88 C 0.2646 0.9005 0.5859  1 O 1.27, 2 N 1.34-1.35
89 C 0.6351 0.7224 0.2590  1 O 1.27, 2 N 1.34-1.35
90 C 0.8649 0.7224 0.7590  1 O 1.27, 2 N 1.34-1.35
91 C 0.3649 0.2776 0.7410  1 O 1.27, 2 N 1.34-1.35
92 C 0.1351 0.2776 0.2410  1 O 1.27, 2 N 1.34-1.35
93 S 0.9408 0.9840 0.2042  4 O 1.47-1.49
94 S 0.5592 0.9840 0.7042  4 O 1.47-1.49
95 S 0.0592 0.0160 0.7958  4 O 1.47-1.49
96 S 0.4408 0.0160 0.2958  4 O 1.47-1.49
97 N 0.6926 0.6718 0.9754  2 H 1.01-1.02
98 N 0.8074 0.6718 0.4754  2 H 1.01-1.02
99 N 0.3074 0.3282 0.0246  2 H 1.01-1.02
100 N 0.1926 0.3282 0.5246  2 H 1.01-1.02
101 N 0.7721 0.4200 0.0191  2 H 1.01-1.02
102 N 0.7279 0.4200 0.5191  2 H 1.01-1.02
103 N 0.2279 0.5800 0.9809  2 H 1.01-1.02
104 N 0.2721 0.5800 0.4809  2 H 1.01-1.02
105 N 0.0170 0.5014 0.3739  2 H 1.01-1.02
106 N 0.4830 0.5014 0.8739  2 H 1.01-1.02
107 N 0.9830 0.4986 0.6261  2 H 1.01-1.02
108 N 0.5170 0.4986 0.1261  2 H 1.01-1.02
109 N 0.9329 0.2342 0.4902  2 H 1.01-1.02
110 N 0.5671 0.2342 0.9902  2 H 1.01-1.02
111 N 0.0671 0.7658 0.5098  2 H 1.01-1.02
112 N 0.4329 0.7658 0.0098  2 H 1.01-1.02
113 N 0.8181 0.2216 0.9115  2 H 1.01-1.02
114 N 0.6819 0.2216 0.4115  2 H 1.01-1.02
115 N 0.1819 0.7784 0.0885  2 H 1.01-1.02
116 N 0.3181 0.7784 0.5885  2 H 1.01-1.02
117 N 0.7075 0.1638 0.8213  2 H 1.02
118 N 0.7925 0.1638 0.3213  2 H 1.02
119 N 0.2925 0.8362 0.1787  2 H 1.02
120 N 0.2075 0.8362 0.6787  2 H 1.02
121 N 0.6560 0.8801 0.2416  2 H 1.01
122 N 0.8440 0.8801 0.7416  2 H 1.01
123 N 0.3440 0.1199 0.7584  2 H 1.01
124 N 0.1560 0.1199 0.2584  2 H 1.01
125 N 0.5510 0.6487 0.3012  2 H 1.01
126 N 0.9490 0.6487 0.8012  2 H 1.01
127 N 0.4490 0.3513 0.6988  2 H 1.01
128 N 0.0510 0.3513 0.1988  2 H 1.01
129 O 0.9402 0.9674 0.3146  1 S 1.47
130 O 0.5598 0.9674 0.8146  1 S 1.47
131 O 0.0598 0.0326 0.6854  1 S 1.47
132 O 0.4402 0.0326 0.1854  1 S 1.47
133 O 0.8576 0.8910 0.2018  1 S 1.49
134 O 0.6424 0.8910 0.7018  1 S 1.49
135 O 0.1424 0.1090 0.7982  1 S 1.49
136 O 0.3576 0.1090 0.2982  1 S 1.49
137 O 0.9382 0.1812 0.0984  1 S 1.49
138 O 0.5618 0.1812 0.5984  1 S 1.49
139 O 0.0618 0.8188 0.9016  1 S 1.49
140 O 0.4382 0.8188 0.4016  1 S 1.49
141 O 0.0255 0.9009 0.1976  1 S 1.48
142 O 0.4745 0.9009 0.6976  1 S 1.48
143 O 0.9745 0.0991 0.8024  1 S 1.48
144 O 0.5255 0.0991 0.3024  1 S 1.48
145 O 0.9609 0.7477 0.0970  2 H 0.98
146 O 0.5391 0.7477 0.5970  2 H 0.98
147 O 0.0391 0.2523 0.9030  2 H 0.98
148 O 0.4609 0.2523 0.4030  2 H 0.98
149 O 0.8085 0.5408 0.1144  1 C 1.27
150 O 0.6915 0.5408 0.6144  1 C 1.27
151 O 0.1915 0.4592 0.8856  1 C 1.27
152 O 0.3085 0.4592 0.3856  1 C 1.27
153 O 0.8649 0.4941 0.3326  1 C 1.27
154 O 0.6351 0.4941 0.8326  1 C 1.27
155 O 0.1351 0.5059 0.6674  1 C 1.27
156 O 0.3649 0.5059 0.1674  1 C 1.27
157 O 0.7675 0.9295 0.0009  1 C 1.27
158 O 0.7325 0.9295 0.5009  1 C 1.27
159 O 0.2325 0.0705 0.9991  1 C 1.27
160 O 0.2675 0.0705 0.4991  1 C 1.27
161 O 0.6940 0.6456 0.2360  1 C 1.27
162 O 0.8060 0.6456 0.7360  1 C 1.27
163 O 0.3060 0.3544 0.7640  1 C 1.27
164 O 0.1940 0.3544 0.2640  1 C 1.27

***

(2)
Below is a relaxed Pr2Ti2O7 crystal, with properties calculated at the r²SCAN level.

Lattice parameters (Å, degrees): 5.5191 7.7204 13.1170 81.48 90.00 90.00
Last column: nearest neighbours and their distance in Å.
Atoms (fractional coordinates):
1 Pr 0.6426 0.1459 0.4260  7 O 2.34-2.48
2 Pr 0.1426 0.8541 0.5740  7 O 2.34-2.48
3 Pr 0.7069 0.6495 0.3830  7 O 2.41-2.63
4 Pr 0.2069 0.3505 0.6170  7 O 2.41-2.63
5 Pr 0.2381 0.2284 0.0926  6 O 2.35-2.63
6 Pr 0.7381 0.7716 0.9074  6 O 2.35-2.63
7 Pr 0.2477 0.7194 0.1188  8 O 2.39-2.62
8 Pr 0.7477 0.2806 0.8812  8 O 2.39-2.62
9 Ti 0.2013 0.4152 0.3253  2 O 1.77-1.90
10 Ti 0.7013 0.5848 0.6747  2 O 1.77-1.90
11 Ti 0.2079 0.9254 0.3205  5 O 1.85-2.01
12 Ti 0.7079 0.0746 0.6795  5 O 1.85-2.01
13 Ti 0.7358 0.4723 0.1209  5 O 1.83-2.00
14 Ti 0.2358 0.5277 0.8791  5 O 1.83-2.00
15 Ti 0.7342 0.9687 0.1186  5 O 1.83-2.00
16 Ti 0.2342 0.0313 0.8814  5 O 1.83-2.00
17 O 0.2961 0.1743 0.3039  2 Ti 1.96-1.99
18 O 0.7961 0.8257 0.6961  2 Ti 1.96-1.99
19 O 0.1486 0.6731 0.3062  2 Ti 1.99-2.01
20 O 0.6486 0.3269 0.6938  2 Ti 1.99-2.01
21 O 0.4093 0.4089 0.4408  1 Ti 1.90
22 O 0.9093 0.5911 0.5592  1 Ti 1.90
23 O 0.4249 0.8713 0.4288  1 Ti 1.86
24 O 0.9249 0.1287 0.5712  1 Ti 1.86
25 O 0.9202 0.3758 0.3900  1 Ti 1.77
26 O 0.4202 0.6242 0.6100  1 Ti 1.77
27 O 0.9418 0.9199 0.4064  1 Ti 1.85
28 O 0.4418 0.0801 0.5936  1 Ti 1.85
29 O 0.0515 0.4344 0.1823  2 Ti 1.92-2.04
30 O 0.5515 0.5656 0.8177  2 Ti 1.92-2.04
31 O 0.0466 0.9758 0.1842  2 Ti 1.93-1.98
32 O 0.5466 0.0242 0.8158  2 Ti 1.93-1.98
33 O 0.1861 0.7767 0.8924  2 Ti 1.97-1.98
34 O 0.6861 0.2233 0.1076  2 Ti 1.97-1.98
35 O 0.3185 0.2729 0.9077  2 Ti 2.00
36 O 0.8185 0.7271 0.0923  2 Ti 2.00
37 O 0.9759 0.0397 0.9823  1 Ti 1.95
38 O 0.4759 0.9603 0.0177  1 Ti 1.95
39 O 0.9762 0.4696 0.9803  1 Ti 1.96
40 O 0.4762 0.5304 0.0197  1 Ti 1.96
41 O 0.0346 0.1127 0.7736  1 Ti 1.83
42 O 0.5346 0.8873 0.2264  1 Ti 1.83
43 O 0.0397 0.5005 0.7704  1 Ti 1.83
44 O 0.5397 0.4995 0.2296  1 Ti 1.83

***

(3)
Below is a relaxed B2Pd5 crystal, with properties calculated at the r²SCAN level.

Lattice parameters (Å, degrees): 4.9721 5.4981 6.8957 96.60 111.13 90.00
Last column: nearest neighbours and their distance in Å.
Atoms (fractional coordinates):
1 B 0.5881 0.4215 0.7713  6 Pd 2.13-2.29
2 B 0.8168 0.0785 0.2287  6 Pd 2.13-2.29
3 B 0.4119 0.5785 0.2287  6 Pd 2.13-2.29
4 B 0.1832 0.9215 0.7713  6 Pd 2.13-2.29
5 Pd 0.0036 0.4197 0.1919  2 B 2.13-2.17
6 Pd 0.8117 0.0803 0.8081  2 B 2.13-2.17
7 Pd 0.3594 0.6854 0.5756  2 B 2.14-2.17
8 Pd 0.7838 0.8146 0.4244  2 B 2.14-2.17
9 Pd 0.6406 0.3146 0.4244  2 B 2.14-2.17
10 Pd 0.2162 0.1854 0.5756  2 B 2.14-2.17
11 Pd 0.1883 0.9197 0.1919  2 B 2.13-2.17
12 Pd 0.9964 0.5803 0.8081  2 B 2.13-2.17
13 Pd 0.4298 0.2500 0.0000  4 B 2.28-2.29
14 Pd 0.5702 0.7500 0.0000  4 B 2.28-2.29

***

(4)
Below is a relaxed Er2InHg crystal, with properties calculated at the r²SCAN level.

Lattice parameters (Å, degrees): 5.2181 5.2181 5.2181 60.00 60.00 60.00
Last column: nearest neighbours and their distance in Å.
Atoms (fractional coordinates):
1 Er 0.2500 0.2500 0.2500  4 Hg 3.20, 4 In 3.20
2 Er 0.7500 0.7500 0.7500  4 Hg 3.20, 4 In 3.20
3 In 0.0000 0.0000 0.0000  8 Er 3.20
4 Hg 0.5000 0.5000 0.5000  8 Er 3.20

***

(5)
Below is a relaxed Cu crystal, with properties calculated at the r²SCAN level.

Properties
Relative energy among the computed polymorphs ... 0.036 eV per atom

Lattice parameters (Å, degrees): 2.4627 2.4627 2.4627 107.82 107.82 112.83
Last column: nearest neighbours and their distance in Å.
Atoms (fractional coordinates):
1 Cu 0.0000 0.0000 0.0000  10 Cu 2.46-2.72

***

(6)
Below is a relaxed SrCdGe crystal, with properties calculated at the r²SCAN level.

Lattice parameters (Å, degrees): 4.6347 7.8408 8.4849 90.00 90.00 90.00
Last column: nearest neighbours and their distance in Å.
Atoms (fractional coordinates):
1 Sr 0.2500 0.5122 0.3104  5 Ge 3.27-3.33, 6 Cd 3.36-3.64
2 Sr 0.2500 0.0122 0.1896  5 Ge 3.27-3.33, 6 Cd 3.36-3.64
3 Sr 0.7500 0.4878 0.6896  5 Ge 3.27-3.33, 6 Cd 3.36-3.64
4 Sr 0.7500 0.9878 0.8104  5 Ge 3.27-3.33, 6 Cd 3.36-3.64
5 Cd 0.2500 0.6552 0.9312  4 Ge 2.81-2.97
6 Cd 0.2500 0.1552 0.5688  4 Ge 2.81-2.97
7 Cd 0.7500 0.3448 0.0688  4 Ge 2.81-2.97
8 Cd 0.7500 0.8448 0.4312  4 Ge 2.81-2.97
9 Ge 0.2500 0.2787 0.8927  4 Cd 2.81-2.97
10 Ge 0.2500 0.7787 0.6073  4 Cd 2.81-2.97
11 Ge 0.7500 0.7213 0.1073  4 Cd 2.81-2.97
12 Ge 0.7500 0.2213 0.3927  4 Cd 2.81-2.97

***

The records above give, respectively, energy of formation from the pure elements values of -0.833, -3.591, -0.260, -0.554, 0.036, -0.547 eV per atom.
The records above give, respectively, total DFT energy (no corrections) values of -6.71, -15.09, -18.76, -35.50, -10.81, -16.92 eV per atom.
The records above give, respectively, magnetic moment values of 0.00, 0.00, 0.00, 0.00, 0.00, 0.00 μB per formula unit.